Here is a relaxed structure of LiWCl6 from the Materials Project database. Energies are from r²SCAN.

Values from the calculation:
The total moment comes out at 4.00 Bohr magnetons per cell. Its crystal system is triclinic.

```
data_LiWCl6
_chemical_formula_sum 'Li4 W4 Cl24'
_space_group_name_H-M_alt 'P 1'
_space_group_IT_number 1
_space_group_name_Hall 'P 1'
_cell_length_a 9.288
_cell_length_b 9.293
_cell_length_c 9.307
_cell_angle_alpha 84.18
_cell_angle_beta 84.31
_cell_angle_gamma 84.28
loop_
_atom_site_label
_atom_site_type_symbol
_atom_site_fract_x
_atom_site_fract_y
_atom_site_fract_z
_atom_site_occupancy
Li1 Li 0.000 0.000 0.000 1
Li2 Li 0.000 0.497 0.502 1
Li3 Li 0.165 0.667 0.167 1
Li4 Li 0.502 0.500 0.001 1
W1 W 0.337 0.838 0.820 1
W2 W 0.338 0.320 0.337 1
W3 W 0.820 0.837 0.337 1
W4 W 0.831 0.331 0.831 1
Cl1 Cl 0.060 0.255 0.911 1
Cl2 Cl 0.062 0.750 0.408 1
Cl3 Cl 0.098 0.900 0.763 1
Cl4 Cl 0.102 0.412 0.259 1
Cl5 Cl 0.252 0.907 0.062 1
Cl6 Cl 0.256 0.413 0.558 1
Cl7 Cl 0.258 0.099 0.402 1
Cl8 Cl 0.259 0.601 0.913 1
Cl9 Cl 0.401 0.262 0.098 1
Cl10 Cl 0.402 0.757 0.600 1
Cl11 Cl 0.408 0.562 0.252 1
Cl12 Cl 0.412 0.060 0.758 1
Cl13 Cl 0.559 0.754 0.914 1
Cl14 Cl 0.561 0.257 0.411 1
Cl15 Cl 0.599 0.401 0.760 1
Cl16 Cl 0.599 0.900 0.258 1
Cl17 Cl 0.752 0.407 0.061 1
Cl18 Cl 0.758 0.913 0.560 1
Cl19 Cl 0.759 0.098 0.904 1
Cl20 Cl 0.763 0.598 0.401 1
Cl21 Cl 0.908 0.259 0.599 1
Cl22 Cl 0.911 0.558 0.756 1
Cl23 Cl 0.913 0.759 0.101 1
Cl24 Cl 0.916 0.057 0.256 1
```

Here is a relaxed structure of Na3LuCl6 from the Materials Project database. Energies are from r²SCAN.

Values from the calculation:
The total moment comes out at 0.00 Bohr magnetons per cell. Its crystal system is monoclinic.

```
data_Na3LuCl6
_chemical_formula_sum 'Na6 Lu2 Cl12'
_space_group_name_H-M_alt 'P 1 21/c 1'
_space_group_IT_number 14
_space_group_name_Hall '-P 2ybc'
_cell_length_a 6.741
_cell_length_b 7.197
_cell_length_c 11.979
_cell_angle_alpha 90.00
_cell_angle_beta 123.35
_cell_angle_gamma 90.00
loop_
_atom_site_label
_atom_site_type_symbol
_atom_site_fract_x
_atom_site_fract_y
_atom_site_fract_z
_atom_site_occupancy
Na1 Na 0.000 0.000 0.000 1
Na2 Na 0.212 0.078 0.739 1
Lu1 Lu 0.500 0.000 0.500 1
Cl1 Cl 0.125 0.178 0.438 1
Cl2 Cl 0.253 0.699 0.420 1
Cl3 Cl 0.402 0.063 0.262 1
```

Here is a relaxed structure of LuNb6Cl18 from the Materials Project database. Energies are from r²SCAN.

Values from the calculation:
The total moment comes out at 3.00 Bohr magnetons per cell. Its crystal system is trigonal.

```
data_LuNb6Cl18
_chemical_formula_sum 'Lu3 Nb18 Cl54'
_space_group_name_H-M_alt 'R -3'
_space_group_IT_number 148
_space_group_name_Hall '-R 3'
_cell_length_a 9.4205
_cell_length_b 9.4205
_cell_length_c 25.3400
_cell_angle_alpha 90.00
_cell_angle_beta 90.00
_cell_angle_gamma 120.00
loop_
_atom_site_label
_atom_site_type_symbol
_atom_site_fract_x
_atom_site_fract_y
_atom_site_fract_z
_atom_site_occupancy
Lu1 Lu 0.0000 0.0000 0.0000 1
Nb1 Nb 0.0458 0.8457 0.5478 1
Cl1 Cl 0.0206 0.7859 0.9416 1
Cl2 Cl 0.0517 0.7971 0.1676 1
Cl3 Cl 0.0525 0.8204 0.3894 1
```

Here is a relaxed structure of Rb3LuCl6 from the Materials Project database. Energies are from r²SCAN.

Values from the calculation:
The total moment comes out at 0.00 Bohr magnetons per cell. Its crystal system is monoclinic.

```
data_Rb3LuCl6
_chemical_formula_sum 'Rb24 Lu8 Cl48'
_space_group_name_H-M_alt 'C 1 2/c 1'
_space_group_IT_number 15
_space_group_name_Hall '-C 2yc'
_cell_length_a 25.681
_cell_length_b 7.861
_cell_length_c 12.684
_cell_angle_alpha 90.00
_cell_angle_beta 99.54
_cell_angle_gamma 90.00
loop_
_atom_site_label
_atom_site_type_symbol
_atom_site_fract_x
_atom_site_fract_y
_atom_site_fract_z
_atom_site_occupancy
Rb1 Rb 0.052 0.243 0.436 1
Rb2 Rb 0.154 0.317 0.145 1
Rb3 Rb 0.162 0.185 0.802 1
Lu1 Lu 0.000 0.211 0.750 1
Lu2 Lu 0.250 0.250 0.500 1
Cl1 Cl 0.057 0.217 0.936 1
Cl2 Cl 0.059 0.033 0.199 1
Cl3 Cl 0.059 0.435 0.681 1
Cl4 Cl 0.173 0.449 0.423 1
Cl5 Cl 0.179 0.036 0.533 1
Cl6 Cl 0.250 0.117 0.313 1
```

Here is a relaxed structure of Rb2LuCl5 from the Materials Project database. Energies are from r²SCAN.

Values from the calculation:
The total moment comes out at 0.00 Bohr magnetons per cell. Its crystal system is orthorhombic.

```
data_Rb2LuCl5
_chemical_formula_sum 'Rb8 Lu4 Cl20'
_space_group_name_H-M_alt 'P n m a'
_space_group_IT_number 62
_space_group_name_Hall '-P 2ac 2n'
_cell_length_a 9.298
_cell_length_b 7.243
_cell_length_c 14.659
_cell_angle_alpha 90.00
_cell_angle_beta 90.00
_cell_angle_gamma 90.00
loop_
_atom_site_label
_atom_site_type_symbol
_atom_site_fract_x
_atom_site_fract_y
_atom_site_fract_z
_atom_site_occupancy
Rb1 Rb 0.032 0.250 0.208 1
Rb2 Rb 0.169 0.750 0.416 1
Lu1 Lu 0.186 0.750 0.063 1
Cl1 Cl 0.000 0.000 0.000 1
Cl2 Cl 0.032 0.750 0.205 1
Cl3 Cl 0.154 0.506 0.613 1
Cl4 Cl 0.217 0.250 0.398 1
```

In order of appearance, formation energy = -1.2153; -2.2398; -1.6202; -2.3847; -2.4091 eV per atom.